Density functional theory data (PBE-GGA) for Nb3P after structural relaxation.

Cell lengths 7.6654, 7.6654, 7.6654 Å; angles 96.37, 96.37, 141.10 degrees
With the nearest neighbours (Å) after each atom.
Element x y z (fractional)
Nb  0.0772  0.3935  0.4840  2 P 2.56-2.70, 1 Nb 2.67
Nb  0.0903  0.2130  0.8383  4 P 2.58-2.64
Nb  0.2233  0.6920  0.9032  3 P 2.56-2.84
Nb  0.3080  0.2112  0.5313  3 P 2.56-2.84
Nb  0.3747  0.2520  0.1617  4 P 2.58-2.64
Nb  0.4068  0.9228  0.3163  2 P 2.56-2.70, 1 Nb 2.67
Nb  0.6065  0.0904  0.6837  2 P 2.56-2.70, 1 Nb 2.67
Nb  0.6799  0.7767  0.4687  3 P 2.56-2.84
Nb  0.7480  0.9097  0.1227  4 P 2.58-2.64
Nb  0.7870  0.6253  0.8773  4 P 2.58-2.64
Nb  0.7888  0.3201  0.0968  3 P 2.56-2.84
Nb  0.9096  0.5932  0.5160  2 P 2.56-2.70, 1 Nb 2.67
P  0.2354  0.4749  0.1741  9 Nb 2.56-2.84
P  0.3007  0.0613  0.8259  9 Nb 2.56-2.84
P  0.5251  0.6993  0.7606  9 Nb 2.56-2.84
P  0.9387  0.7646  0.2394  9 Nb 2.56-2.84

Calculated values
ρ (g/cm³): 7.7
Total DFT energy (no corrections) (eV/atom): -9.541
Formation energy (meV/atom): -612